1.
Entry from the Materials Project: crystalline Ce3SiAgS7 at its relaxed geometry (PBE).

- calculated total energy (eV per atom) = -6.05

a = 10.330 Å, b = 10.330 Å, c = 5.773 Å
α = 90.00°, β = 90.00°, γ = 120.00°
Fractional coordinates of all 24 atoms:
Ce  0.124  0.359  0.000
Ce  0.235  0.876  0.000
Ce  0.359  0.235  0.500
Ce  0.641  0.765  0.000
Ce  0.765  0.124  0.500
Ce  0.876  0.641  0.500
Si  0.333  0.667  0.413
Si  0.667  0.333  0.913
Ag  0.000  0.000  0.061
Ag  0.000  0.000  0.561
S  0.091  0.267  0.514
S  0.115  0.590  0.269
S  0.176  0.909  0.514
S  0.267  0.176  0.014
S  0.333  0.667  0.780
S  0.410  0.525  0.269
S  0.475  0.885  0.269
S  0.525  0.115  0.769
S  0.590  0.475  0.769
S  0.667  0.333  0.280
S  0.733  0.824  0.514
S  0.824  0.091  0.014
S  0.885  0.410  0.769
S  0.909  0.733  0.014



2.
Entry from the Materials Project: crystalline Ce2Ag3Sb3 at its relaxed geometry (PBE).

- calculated total energy (eV per atom) = -3.79

a = 3.016 Å, b = 3.016 Å, c = 23.262 Å
α = 90.00°, β = 90.00°, γ = 90.00°
Fractional coordinates of all 8 atoms:
Ce  0.000  0.000  0.249
Ce  0.000  0.000  0.751
Ag  0.000  0.000  0.000
Ag  0.000  0.000  0.379
Ag  0.000  0.000  0.621
Sb  0.000  0.000  0.117
Sb  0.000  0.000  0.500
Sb  0.000  0.000  0.883



3.
Entry from the Materials Project: crystalline Ce5AgSe8 at its relaxed geometry (PBE).

- calculated total energy (eV per atom) = -5.95

a = 7.714 Å, b = 7.714 Å, c = 7.714 Å
α = 110.01°, β = 110.01°, γ = 108.40°
Fractional coordinates of all 14 atoms:
Ce  0.000  0.000  0.000
Ce  0.253  0.632  0.120
Ce  0.368  0.488  0.621
Ce  0.512  0.133  0.880
Ce  0.867  0.747  0.379
Ag  0.750  0.250  0.500
Se  0.115  0.227  0.751
Se  0.143  0.746  0.760
Se  0.254  0.015  0.398
Se  0.475  0.364  0.249
Se  0.617  0.857  0.602
Se  0.636  0.885  0.112
Se  0.773  0.525  0.888
Se  0.985  0.383  0.240



4.
Entry from the Materials Project: crystalline CeSi2Ag2 at its relaxed geometry (PBE).

- calculated total energy (eV per atom) = -4.89

a = 6.147 Å, b = 6.147 Å, c = 6.147 Å
α = 139.66°, β = 139.66°, γ = 58.37°
Fractional coordinates of all 5 atoms:
Ce  0.000  0.000  0.000
Si  0.392  0.392  0.000
Si  0.608  0.608  0.000
Ag  0.250  0.750  0.500
Ag  0.750  0.250  0.500



no.,energy relative to the elements (eV per formula unit)
1,-21.08
2,1.88
3,-26.62
4,-1.99